No. 1
This record from Materials Project describes a relaxed K2WSe4 crystal. The functional is meta-GGA r2SCAN.

Structure (CIF):
```
data_K2WSe4
_cell_length_a 9.8336
_cell_length_b 7.2081
_cell_length_c 12.6911
_cell_angle_alpha 90.00
_cell_angle_beta 90.00
_cell_angle_gamma 90.00
_space_group_name_H-M_alt 'P n m a'
_space_group_IT_number 62
loop_
_space_group_symop_operation_xyz
'x,y,z'
'-x,-y,-z'
'-x+1/2,-y,z+1/2'
'x+1/2,y,-z+1/2'
'x+1/2,-y+1/2,-z+1/2'
'-x+1/2,y+1/2,z+1/2'
'-x,y+1/2,-z'
'x,-y+1/2,z'
loop_
_atom_site_label
_atom_site_type_symbol
_atom_site_fract_x
_atom_site_fract_y
_atom_site_fract_z
_atom_site_occupancy
K1 K 0.0496 0.2500 0.1565 1
K2 K 0.1554 0.7500 0.3862 1
W1 W 0.2476 0.7500 0.0666 1
Se1 Se 0.0172 0.7500 0.1113 1
Se2 Se 0.1467 0.5077 0.6373 1
Se3 Se 0.2208 0.2500 0.3852 1
```

Properties
Energy relative to the elements (eV per atom): -0.975
Total magnetic moment (μB per atom): 0.000
Uncorrected energy (eV per atom): -18.21

***

No. 2
This record from Materials Project describes a relaxed KYbSe2 crystal. The functional is meta-GGA r2SCAN.

Structure (CIF):
```
data_KYbSe2
_cell_length_a 4.1257
_cell_length_b 4.1257
_cell_length_c 22.7642
_cell_angle_alpha 90.00
_cell_angle_beta 90.00
_cell_angle_gamma 120.00
_space_group_name_H-M_alt 'R -3 m'
_space_group_IT_number 166
_space_group_name_Hall '-R 3 2"'
loop_
_atom_site_label
_atom_site_type_symbol
_atom_site_fract_x
_atom_site_fract_y
_atom_site_fract_z
_atom_site_occupancy
K1 K 0.0000 0.0000 0.0000 1
Yb1 Yb 0.0000 0.0000 0.5000 1
Se1 Se 0.0000 0.0000 0.2344 1
```

Properties
Energy relative to the elements (eV per atom): -2.027
Total magnetic moment (μB per atom): 0.000
Uncorrected energy (eV per atom): -19.82

***

No. 3
This record from Materials Project describes a relaxed K4Sn23 crystal. The functional is meta-GGA r2SCAN.

Structure (CIF):
```
data_K4Sn23
_cell_length_a 12.4873
_cell_length_b 12.4873
_cell_length_c 12.4873
_cell_angle_alpha 90.00
_cell_angle_beta 90.00
_cell_angle_gamma 90.00
_space_group_name_H-M_alt 'P m -3 n'
_space_group_IT_number 223
_space_group_name_Hall '-P 4n 2 3'
loop_
_atom_site_label
_atom_site_type_symbol
_atom_site_fract_x
_atom_site_fract_y
_atom_site_fract_z
_atom_site_occupancy
K1 K 0.0000 0.0000 0.0000 1
K2 K 0.0000 0.2500 0.5000 1
Sn1 Sn 0.0000 0.3079 0.1175 1
Sn2 Sn 0.0000 0.5000 0.2500 1
Sn3 Sn 0.1839 0.1839 0.1839 1
```

Properties
Energy relative to the elements (eV per atom): -0.126
Total magnetic moment (μB per atom): 0.000
Uncorrected energy (eV per atom): -22.10